14
Lattice="8.5020 0.0000 0.0000 -4.2510 7.3630 0.0000 0.0000 0.0000 5.8637" Properties=species:S:1:pos:R:3 comment="Ba3ZrN3, optimized geometry, DFT PBE" m_tot_mub_per_atom=0.143 e_form_kj_per_mol_atoms=-76.5 vol_a3_per_cell=367.1 final_energy_ev_per_atom=-6.2548 pbc="T T T"
Ba -0.6347 2.5960 1.4659
Ba -1.6855 6.6146 1.4659
Ba 1.9309 1.8476 4.3978
Ba 2.3201 5.5153 1.4659
Ba 5.9365 0.7484 4.3978
Ba 4.8857 4.7670 4.3978
Zr 0.0000 4.9086 4.3978
Zr 4.2510 2.4543 1.4659
N -0.5396 2.9080 4.3978
N -1.4628 6.3763 4.3978
N 2.2486 1.9214 1.4659
N 2.0024 5.4416 4.3978
N 5.7138 0.9867 1.4659
N 4.7907 4.4549 1.4659

***

16
Lattice="-4.1181 0.1931 -2.1540 2.2091 -3.0473 -4.4968 -2.9821 -9.3397 4.8640" Properties=species:S:1:pos:R:3 comment="Mg6CoW, optimized geometry, DFT PBE" m_tot_mub_per_atom=0.006 e_form_kj_per_mol_atoms=29.0 vol_a3_per_cell=298.5 final_energy_ev_per_atom=-3.4082 de_polymorph_ev_per_atom=0.0000 pbc="T T T"
Mg 1.3793 -3.0299 -2.9088
Mg 0.3300 -1.5825 -0.7729
Mg -0.9764 -3.0579 1.5925
Mg -2.7514 -4.6296 -0.1772
Mg -1.6763 -6.1126 -2.3656
Mg -2.5663 -1.4919 -0.2497
Mg -1.2163 -6.1761 1.7716
Mg -0.0565 -7.7760 -0.5893
Mg -1.3629 -9.2514 1.7761
Mg -3.1379 -10.8231 0.0065
Mg -4.2719 -9.2588 2.3148
Mg -2.9528 -7.6854 -0.0661
Co 0.2214 -4.2895 -0.8080
Co -2.3742 -7.4357 3.8725
W -1.5337 -3.2410 -2.3807
W -4.1293 -6.3872 2.2997

***

12
Lattice="5.9969 0.0000 0.0000 0.0000 5.9969 0.0000 0.0000 0.0000 5.9969" Properties=species:S:1:pos:R:3 comment="GeP2, optimized geometry, DFT PBE" m_tot_mub_per_atom=0.000 e_form_kj_per_mol_atoms=8.5 vol_a3_per_cell=215.7 final_energy_ev_per_atom=-5.0616 pbc="T T T"
Ge 0.0000 0.0000 0.0000
Ge 0.0000 2.9984 2.9984
Ge 2.9984 0.0000 2.9984
Ge 2.9984 2.9984 0.0000
P 0.6186 3.6170 5.3783
P 0.6186 5.3783 2.3799
P 2.3799 0.6186 5.3783
P 2.3799 2.3799 2.3799
P 3.6170 3.6170 3.6170
P 3.6170 5.3783 0.6186
P 5.3783 0.6186 3.6170
P 5.3783 2.3799 0.6186